Model A:
# MgFeF5

A relaxed structure of MgFeF5 (PBE with a Hubbard U, the Materials Project).

Cell lengths 5.1917, 9.7363, 7.4625 Å; angles 90.00, 109.80, 90.00 degrees
Closest atoms and distances in Å follow each position.
Space group P2_1/c (No. 14)
Unique sites:
Mg1 0.0213 0.0113 0.2448 [4 per cell]  4 F 1.94-2.03
Fe1 0.3983 0.2451 0.6037 [4 per cell]  6 F 1.90-2.01
F1 0.1088 0.1106 0.5839 [4 per cell]  1 Fe 1.96, 1 Mg 2.02
F2 0.1449 0.1050 0.9917 [4 per cell]  1 Fe 1.95, 1 Mg 2.03
F3 0.2917 0.6352 0.3436 [4 per cell]  1 Fe 1.92, 1 Mg 1.95
F4 0.3249 0.1830 0.3349 [4 per cell]  2 Fe 2.00-2.01, 1 Mg 2.24
F5 0.3538 0.5971 0.8032 [4 per cell]  1 Fe 1.90, 1 Mg 1.94

Model B:
# MgFeF5

A relaxed structure of MgFeF5 (PBE with a Hubbard U, the Materials Project).

Cell lengths 8.6076, 6.1996, 7.5605 Å; angles 90.00, 116.53, 90.00 degrees
Closest atoms and distances in Å follow each position.
Space group C2/c (No. 15)
Unique sites:
Mg1 0.0000 0.0253 0.2500 [4 per cell]  5 F 1.95-2.18
Fe1 0.0000 0.5000 0.0000 [4 per cell]  6 F 1.91-2.04
F1 0.0000 0.3761 0.2500 [4 per cell]  2 Fe 2.04, 1 Mg 2.18
F2 0.0156 0.1977 0.9498 [8 per cell]  1 Fe 1.93, 1 Mg 2.01
F3 0.2472 0.4687 0.6338 [8 per cell]  1 Fe 1.91, 1 Mg 1.95

Most favorable first, least favorable last: model B, model A